Compound: Mn2V3P6WO24
Source: the Materials Project
Functional: GGA+U
Structure: optimized geometry

Calculated values
**ΔE_f**: -2572 meV per atom
**Crystal system**: trigonal
**Magnetic moment**: 0.47 μB per atom
**Volume**: 1410 Å³/cell

a = 8.7232 Å, b = 8.7232 Å, c = 21.3948 Å
α = 90.00°, β = 90.00°, γ = 120.00°
Space group R3 (No. 146, hexagonal axes)
Unique sites:
1 Mn 0.0000 0.0000 0.0000
2 Mn 0.0000 0.0000 0.4954
3 V 0.0000 0.0000 0.1396
4 V 0.0000 0.0000 0.3519
5 V 0.0000 0.0000 0.6385
6 P 0.0046 0.7118 0.2451
7 P 0.0389 0.3714 0.4101
8 W 0.0000 0.0000 0.8516
9 O 0.0006 0.8035 0.1852
10 O 0.0026 0.1954 0.8049
11 O 0.0162 0.8334 0.9145
12 O 0.0220 0.1873 0.4182
13 O 0.1393 0.4716 0.3527
14 O 0.1389 0.6735 0.9716
15 O 0.1656 0.6829 0.2407
16 O 0.1668 0.4807 0.7406